First-principles (GGA+U) data for Ca15NiIr4O24 after structural relaxation, as listed in the Materials Project.

a = 6.586 Å, b = 6.586 Å, c = 13.135 Å
α = 89.05°, β = 89.05°, γ = 90.89°
Fractional coordinates of all 44 atoms:
Ir1 0.999 0.498 0.877
Ir2 0.000 0.500 0.374
Ir3 0.502 0.001 0.123
Ir4 0.500 0.000 0.626
O1 0.797 0.961 0.082
O2 0.458 0.082 0.976
O3 0.555 0.925 0.773
O4 0.704 0.415 0.859
O5 0.428 0.704 0.597
O6 0.585 0.296 0.141
O7 0.070 0.444 0.728
O8 0.296 0.572 0.403
O9 0.203 0.056 0.661
O10 0.796 0.944 0.589
O11 0.075 0.445 0.227
O12 0.702 0.425 0.344
O13 0.056 0.204 0.411
O14 0.427 0.704 0.098
O15 0.556 0.930 0.272
O16 0.205 0.055 0.161
O17 0.945 0.795 0.839
O18 0.944 0.797 0.339
O19 0.575 0.298 0.656
O20 0.918 0.542 0.024
O21 0.444 0.074 0.477
O22 0.926 0.556 0.523
O23 0.296 0.573 0.902
O24 0.039 0.203 0.918
Ca1 0.888 0.115 0.245
Ca2 0.111 0.889 0.500
Ca3 0.104 0.896 0.000
Ca4 0.748 0.602 0.177
Ca5 0.750 0.250 0.500
Ca6 0.885 0.112 0.755
Ca7 0.386 0.248 0.320
Ca8 0.251 0.751 0.250
Ca9 0.251 0.386 0.067
Ca10 0.614 0.749 0.933
Ca11 0.612 0.750 0.430
Ca12 0.250 0.388 0.570
Ca13 0.398 0.252 0.823
Ca14 0.752 0.614 0.680
Ca15 0.249 0.749 0.750
Ni1 0.750 0.250 0.000

Calculated values
Its symmetry is No. 5. As for the total energy: -286.712 eV per cell. The calculation puts the volume at 569.4 Å³ per cell. For the formation energy, the calculation gives -2631 meV per atom.